Record 1
Density functional theory data (PBE with a Hubbard U) for crystalline Na3FeO4 at its relaxed geometry.

a b c (Å): 8.434 8.434 5.736
angles (deg): 77.17 77.17 98.87
Element x y z (fractional)
O 0.012 0.229 0.178
O 0.771 0.988 0.822
O 0.988 0.771 0.822
O 0.125 0.682 0.219
O 0.891 0.891 0.191
O 0.665 0.665 0.808
O 0.335 0.335 0.192
O 0.453 0.246 0.772
O 0.547 0.754 0.228
O 0.109 0.109 0.809
O 0.246 0.453 0.772
O 0.318 0.875 0.781
O 0.754 0.547 0.228
O 0.682 0.125 0.219
O 0.229 0.012 0.178
O 0.875 0.318 0.781
Na 0.636 0.881 0.516
Na 0.743 0.257 0.500
Na 0.119 0.364 0.484
Na 0.881 0.636 0.516
Na 0.500 0.500 0.500
Na 0.364 0.119 0.484
Na 0.000 0.500 0.000
Na 0.000 0.000 0.500
Na 0.500 0.000 0.000
Na 0.624 0.376 0.000
Na 0.257 0.743 0.500
Na 0.376 0.624 0.000
Fe 0.750 0.750 0.029
Fe 0.876 0.124 0.000
Fe 0.250 0.250 0.971
Fe 0.124 0.876 0.000

- DFT formation energy (meV per atom) = -1551

---

Record 2
Density functional theory data (PBE with a Hubbard U) for crystalline Na3FeO3 at its relaxed geometry.

a b c (Å): 8.618 8.618 6.205
angles (deg): 69.49 69.49 77.72
Element x y z (fractional)
Na 0.036 0.984 0.274
Na 0.749 0.794 0.615
Na 0.794 0.749 0.115
Na 0.938 0.365 0.996
Na 0.478 0.563 0.554
Na 0.173 0.647 0.986
Na 0.365 0.938 0.496
Na 0.563 0.478 0.054
Na 0.232 0.277 0.533
Na 0.647 0.173 0.486
Na 0.277 0.232 0.033
Na 0.984 0.036 0.774
O 0.468 0.719 0.797
O 0.310 0.770 0.311
O 0.227 0.031 0.869
O 0.458 0.213 0.246
O 0.992 0.595 0.385
O 0.031 0.227 0.369
O 0.783 0.987 0.229
O 0.213 0.458 0.746
O 0.987 0.783 0.729
O 0.770 0.310 0.811
O 0.595 0.992 0.885
O 0.719 0.468 0.297
Fe 0.123 0.646 0.544
Fe 0.400 0.878 0.968
Fe 0.646 0.123 0.044
Fe 0.878 0.400 0.468

- DFT formation energy (meV per atom) = -1706
- distance to the lowest polymorph of the same formula (eV/f.u.) = 0.00

---

Record 3
Density functional theory data (PBE with a Hubbard U) for crystalline Na4FeO3 at its relaxed geometry.

a b c (Å): 8.272 10.735 11.804
angles (deg): 90.00 90.00 110.32
Element x y z (fractional)
O 0.077 0.921 0.878
O 0.377 0.700 0.152
O 0.623 0.800 0.652
O 0.923 0.079 0.122
O 0.565 0.420 0.618
O 0.458 0.082 0.632
O 0.542 0.918 0.368
O 0.876 0.219 0.414
O 0.124 0.281 0.914
O 0.542 0.418 0.132
O 0.565 0.920 0.882
O 0.623 0.300 0.848
O 0.028 0.919 0.370
O 0.028 0.419 0.130
O 0.377 0.200 0.348
O 0.972 0.081 0.630
O 0.972 0.581 0.870
O 0.124 0.781 0.586
O 0.458 0.582 0.868
O 0.077 0.421 0.622
O 0.435 0.580 0.382
O 0.923 0.579 0.378
O 0.435 0.080 0.118
O 0.876 0.719 0.086
Fe 0.012 0.256 0.059
Fe 0.537 0.756 0.802
Fe 0.988 0.244 0.559
Fe 0.463 0.744 0.302
Fe 0.988 0.744 0.941
Fe 0.537 0.256 0.698
Fe 0.012 0.756 0.441
Fe 0.463 0.244 0.198
Na 0.802 0.960 0.470
Na 0.825 0.944 0.963
Na 0.307 0.472 0.207
Na 0.320 0.934 0.775
Na 0.124 0.126 0.790
Na 0.680 0.066 0.225
Na 0.074 0.144 0.308
Na 0.608 0.631 0.539
Na 0.802 0.460 0.030
Na 0.926 0.356 0.808
Na 0.417 0.858 0.547
Na 0.320 0.434 0.725
Na 0.175 0.556 0.463
Na 0.693 0.028 0.707
Na 0.693 0.528 0.793
Na 0.876 0.374 0.290
Na 0.124 0.626 0.710
Na 0.680 0.566 0.275
Na 0.198 0.040 0.530
Na 0.825 0.444 0.537
Na 0.583 0.142 0.453
Na 0.074 0.644 0.192
Na 0.926 0.856 0.692
Na 0.417 0.358 0.953
Na 0.876 0.874 0.210
Na 0.608 0.131 0.961
Na 0.392 0.869 0.039
Na 0.198 0.540 0.970
Na 0.392 0.369 0.461
Na 0.307 0.972 0.293
Na 0.583 0.642 0.047
Na 0.175 0.056 0.037

- DFT formation energy (meV per atom) = -1535
- distance to the lowest polymorph of the same formula (eV/f.u.) = 0.00
- total moment (μB per atom) = 0.500

---

Look up the DFT formation energy of the second one.
-1706 meV per atom